{
  "formula": "NiH8C4N2O6",
  "functional": "GGA+U",
  "state": "optimized geometry",
  "lattice_angstrom": [[7.616, 0.000, 0.000], [0.000, 10.497, 0.000], [-3.962, 0.000, 8.199]],
  "species": ["Ni", "Ni", "H", "H", "H", "H", "H", "H", "H", "H", "H", "H", "H", "H", "H", "H", "H", "H", "C", "C", "C", "C", "C", "C", "C", "C", "N", "N", "N", "N", "O", "O", "O", "O", "O", "O", "O", "O", "O", "O", "O", "O"],
  "fractional_positions": [[0.000, 0.000, 0.000], [0.000, 0.500, 0.500], [0.098, 0.074, 0.700], [0.098, 0.426, 0.200], [0.116, 0.210, 0.017], [0.116, 0.290, 0.517], [0.381, 0.085, 0.668], [0.381, 0.415, 0.168], [0.471, 0.534, 0.630], [0.471, 0.966, 0.130], [0.529, 0.034, 0.870], [0.529, 0.466, 0.370], [0.619, 0.585, 0.832], [0.619, 0.915, 0.332], [0.884, 0.710, 0.483], [0.884, 0.790, 0.983], [0.902, 0.574, 0.800], [0.902, 0.926, 0.300], [0.236, 0.046, 0.804], [0.236, 0.454, 0.304], [0.298, 0.137, 0.346], [0.298, 0.363, 0.846], [0.702, 0.637, 0.154], [0.702, 0.863, 0.654], [0.764, 0.546, 0.696], [0.764, 0.954, 0.196], [0.394, 0.052, 0.777], [0.394, 0.448, 0.277], [0.606, 0.552, 0.723], [0.606, 0.948, 0.223], [0.024, 0.172, 0.052], [0.024, 0.328, 0.552], [0.241, 0.012, 0.938], [0.241, 0.488, 0.438], [0.272, 0.036, 0.384], [0.272, 0.464, 0.884], [0.728, 0.536, 0.116], [0.728, 0.964, 0.616], [0.759, 0.512, 0.562], [0.759, 0.988, 0.062], [0.976, 0.672, 0.448], [0.976, 0.828, 0.948]],
  "e_form_ev_per_atom": -0.683,
  "e_tot_ev_per_cell": -247.7
}